[1]
VASP calculation (PBE) on a geometry-optimized TbGaPd2 structure.

Cell lengths 5.6520, 7.1624, 7.4305 Å; angles 90.00, 90.00, 90.00 degrees
Atoms (fractional coordinates):
Tb1 0.3496 0.7500 0.0326
Tb2 0.1504 0.7500 0.5326
Tb3 0.6504 0.2500 0.9674
Tb4 0.8496 0.2500 0.4674
Ga1 0.6501 0.7500 0.3805
Ga2 0.8499 0.7500 0.8805
Ga3 0.3499 0.2500 0.6195
Ga4 0.1501 0.2500 0.1195
Pd1 0.9123 0.5519 0.1781
Pd2 0.5877 0.9481 0.6781
Pd3 0.0877 0.0519 0.8219
Pd4 0.4123 0.4481 0.3219
Pd5 0.0877 0.4481 0.8219
Pd6 0.4123 0.0519 0.3219
Pd7 0.9123 0.9481 0.1781
Pd8 0.5877 0.5519 0.6781

Results
Space group ... Pnma, No. 62
Volume ... 18.8 Å³ per atom

=====

[2]
VASP calculation (PBE) on a geometry-optimized TbGa2Pd structure.

Cell lengths 4.4618, 5.5598, 6.6164 Å; angles 90.00, 90.00, 113.66 degrees
Atoms (fractional coordinates):
Tb1 0.9103 0.8206 0.7500
Tb2 0.0897 0.1794 0.2500
Ga1 0.6266 0.2533 0.5533
Ga2 0.3734 0.7467 0.0533
Ga3 0.3734 0.7467 0.4467
Ga4 0.6266 0.2533 0.9467
Pd1 0.1996 0.3991 0.7500
Pd2 0.8004 0.6009 0.2500

Results
Space group ... Cmcm, No. 63
Volume ... 18.8 Å³ per atom

=====

[3]
VASP calculation (PBE) on a geometry-optimized TiGaPd structure.

Cell lengths 4.4512, 4.4512, 5.4049 Å; angles 90.00, 90.00, 120.00 degrees
Atoms (fractional coordinates):
Ti1 0.0000 0.0000 0.0000
Ti2 0.0000 0.0000 0.5000
Ga1 0.3333 0.6667 0.7500
Ga2 0.6667 0.3333 0.2500
Pd1 0.3333 0.6667 0.2500
Pd2 0.6667 0.3333 0.7500

Results
Space group ... P6_3/mmc, No. 194
Volume ... 15.5 Å³ per atom

=====

[4]
VASP calculation (PBE) on a geometry-optimized TmGaPd structure.

Cell lengths 4.4395, 6.8218, 7.6473 Å; angles 90.00, 90.00, 90.00 degrees
Atoms (fractional coordinates):
Tm1 0.2500 0.9840 0.3026
Tm2 0.2500 0.4840 0.1974
Tm3 0.7500 0.0160 0.6974
Tm4 0.7500 0.5160 0.8026
Ga1 0.2500 0.3261 0.5731
Ga2 0.2500 0.8261 0.9269
Ga3 0.7500 0.6739 0.4269
Ga4 0.7500 0.1739 0.0731
Pd1 0.2500 0.2244 0.9007
Pd2 0.2500 0.7244 0.5993
Pd3 0.7500 0.7756 0.0993
Pd4 0.7500 0.2756 0.4007

Results
Space group ... Pnma, No. 62
Volume ... 19.3 Å³ per atom

=====

| no. | calculated total energy (eV per cell) | energy relative to the elements (eV/atom) |
| --- | --- | --- |
| 1 | -86.416 | -0.90 |
| 2 | -38.159 | -0.80 |
| 3 | -36.093 | -0.65 |
| 4 | -61.532 | -0.90 |